P) # RbNaMg6O7 | the Materials Project database | PBE-GGA | relaxed
data_RbNaMg6O7
_cell_length_a 4.676
_cell_length_b 4.676
_cell_length_c 8.168
_cell_angle_alpha 90.00
_cell_angle_beta 90.00
_cell_angle_gamma 90.00
_space_group_name_H-M_alt 'P 4 m m'
_space_group_IT_number 99
loop_
_space_group_symop_operation_xyz
'x,y,z'
'-y,x,z'
'-x,-y,z'
'y,-x,z'
'-x,y,z'
'y,x,z'
'x,-y,z'
'-y,-x,z'
loop_
_atom_site_label
_atom_site_type_symbol
_atom_site_fract_x
_atom_site_fract_y
_atom_site_fract_z
_atom_site_occupancy
Rb1 Rb 0.000 0.000 0.000 1
Na1 Na 0.000 0.000 0.566 1
Mg1 Mg 0.000 0.500 0.320 1
Mg2 Mg 0.000 0.500 0.824 1
Mg3 Mg 0.500 0.500 0.083 1
Mg4 Mg 0.500 0.500 0.574 1
O1 O 0.000 0.000 0.310 1
O2 O 0.000 0.500 0.068 1
O3 O 0.000 0.500 0.590 1
O4 O 0.500 0.500 0.328 1
O5 O 0.500 0.500 0.829 1
# V   179 Å³ per cell
# Total magnetic moment   0.0 μB per formula unit



Q) # RbNaMg6O7 | the Materials Project database | PBE-GGA | relaxed
data_RbNaMg6O7
_cell_length_a 4.636
_cell_length_b 4.636
_cell_length_c 8.561
_cell_angle_alpha 90.00
_cell_angle_beta 90.00
_cell_angle_gamma 90.00
_space_group_name_H-M_alt 'P 4 m m'
_space_group_IT_number 99
loop_
_space_group_symop_operation_xyz
'x,y,z'
'-y,x,z'
'-x,-y,z'
'y,-x,z'
'-x,y,z'
'y,x,z'
'x,-y,z'
'-y,-x,z'
loop_
_atom_site_label
_atom_site_type_symbol
_atom_site_fract_x
_atom_site_fract_y
_atom_site_fract_z
_atom_site_occupancy
Rb1 Rb 0.000 0.000 0.000 1
Na1 Na 0.500 0.500 0.970 1
Mg1 Mg 0.000 0.000 0.481 1
Mg2 Mg 0.000 0.500 0.223 1
Mg3 Mg 0.000 0.500 0.726 1
Mg4 Mg 0.500 0.500 0.472 1
O1 O 0.000 0.000 0.705 1
O2 O 0.000 0.500 0.460 1
O3 O 0.000 0.500 0.982 1
O4 O 0.500 0.500 0.237 1
O5 O 0.500 0.500 0.704 1
# V   184 Å³ per cell
# Total magnetic moment   1.2 μB per formula unit



Most stable structure, least stable structure: P), Q).



P) # BiP4O12 | the Materials Project database | PBE-GGA | relaxed
data_BiP4O12
_cell_length_a 7.284
_cell_length_b 8.612
_cell_length_c 8.023
_cell_angle_alpha 90.00
_cell_angle_beta 92.37
_cell_angle_gamma 90.00
_space_group_name_H-M_alt 'P 1 21 1'
_space_group_IT_number 4
loop_
_space_group_symop_operation_xyz
'x,y,z'
'-x,y+1/2,-z'
loop_
_atom_site_label
_atom_site_type_symbol
_atom_site_fract_x
_atom_site_fract_y
_atom_site_fract_z
_atom_site_occupancy
Bi1 Bi 0.248 0.000 0.246 1
P1 P 0.064 0.625 0.403 1
P2 P 0.123 0.250 0.901 1
P3 P 0.399 0.421 0.390 1
P4 P 0.490 0.648 0.107 1
O1 O 0.041 0.405 0.856 1
O2 O 0.047 0.117 0.774 1
O3 O 0.067 0.102 0.460 1
O4 O 0.108 0.193 0.077 1
O5 O 0.180 0.769 0.423 1
O6 O 0.187 0.473 0.382 1
O7 O 0.321 0.747 0.111 1
O8 O 0.336 0.258 0.855 1
O9 O 0.407 0.260 0.321 1
O10 O 0.480 0.443 0.564 1
O11 O 0.482 0.046 0.042 1
O12 O 0.498 0.039 0.728 1
# V   503 Å³ per cell
# Total magnetic moment   1.0 μB per formula unit



Q) # BiP4O12 | the Materials Project database | PBE-GGA | relaxed
data_BiP4O12
_cell_length_a 7.593
_cell_length_b 9.023
_cell_length_c 16.716
_cell_angle_alpha 90.00
_cell_angle_beta 111.61
_cell_angle_gamma 90.00
_space_group_name_H-M_alt 'P 1 21/c 1'
_space_group_IT_number 14
loop_
_space_group_symop_operation_xyz
'x,y,z'
'-x,-y,-z'
'-x,y+1/2,-z+1/2'
'x,-y+1/2,z+1/2'
loop_
_atom_site_label
_atom_site_type_symbol
_atom_site_fract_x
_atom_site_fract_y
_atom_site_fract_z
_atom_site_occupancy
Bi1 Bi 0.189 0.159 0.145 1
P1 P 0.136 0.739 0.575 1
P2 P 0.159 0.054 0.782 1
P3 P 0.267 0.232 0.941 1
P4 P 0.399 0.524 0.185 1
O1 O 0.034 0.543 0.309 1
O2 O 0.049 0.217 0.402 1
O3 O 0.067 0.161 0.709 1
O4 O 0.078 0.725 0.479 1
O5 O 0.236 0.611 0.630 1
O6 O 0.252 0.609 0.103 1
O7 O 0.298 0.144 0.865 1
O8 O 0.305 0.135 0.020 1
O9 O 0.312 0.545 0.261 1
O10 O 0.396 0.135 0.660 1
O11 O 0.399 0.136 0.463 1
O12 O 0.415 0.105 0.283 1
# V   1065 Å³ per cell
# Total magnetic moment   1.0 μB per formula unit



Most stable structure, least stable structure: P), Q).



P) # LiBH4 | the Materials Project database | PBE-GGA | relaxed
data_LiBH4
_cell_length_a 4.2028
_cell_length_b 4.2028
_cell_length_c 7.4201
_cell_angle_alpha 90.00
_cell_angle_beta 90.00
_cell_angle_gamma 120.00
_space_group_name_H-M_alt 'P 63 m c'
_space_group_IT_number 186
_space_group_name_Hall 'P 6c -2c'
loop_
_atom_site_label
_atom_site_type_symbol
_atom_site_fract_x
_atom_site_fract_y
_atom_site_fract_z
_atom_site_occupancy
Li1 Li 0.3333 0.6667 0.0000 1
B1 B 0.3333 0.6667 0.4216 1
H1 H 0.1752 0.3503 0.4774 1
H2 H 0.3333 0.6667 0.2573 1
# V   114 Å³ per cell
# Total magnetic moment   0.0 μB per formula unit



Q) # LiBH4 | the Materials Project database | PBE-GGA | relaxed
data_LiBH4
_cell_length_a 4.073
_cell_length_b 4.080
_cell_length_c 5.067
_cell_angle_alpha 90.22
_cell_angle_beta 90.12
_cell_angle_gamma 90.00
_space_group_name_H-M_alt 'P 1'
_space_group_IT_number 1
loop_
_space_group_symop_operation_xyz
'x,y,z'
loop_
_atom_site_label
_atom_site_type_symbol
_atom_site_fract_x
_atom_site_fract_y
_atom_site_fract_z
_atom_site_occupancy
Li1 Li 0.000 0.000 0.000 1
Li2 Li 0.496 0.518 0.499 1
B1 B 0.006 0.003 0.501 1
B2 B 0.501 0.511 0.998 1
H1 H 0.004 0.753 0.371 1
H2 H 0.006 0.247 0.361 1
H3 H 0.248 0.506 0.868 1
H4 H 0.254 0.009 0.637 1
H5 H 0.504 0.760 0.131 1
H6 H 0.506 0.266 0.138 1
H7 H 0.744 0.508 0.859 1
H8 H 0.759 0.011 0.637 1
# V   84 Å³ per cell
# Total magnetic moment   0.0 μB per formula unit



Most stable structure, least stable structure: P), Q).